Compound: VPPbO7
Source: the Materials Project database
Functional: PBE with a Hubbard U
Structure: relaxed

a b c (Å): 10.108 10.141 10.564
angles (deg): 87.00 90.00 90.00
Sites, in units of the cell vectors:
O 0.476 0.363 0.060
O 0.256 0.402 0.288
O 0.442 0.899 0.882
O 0.246 0.664 0.678
O 0.158 0.675 0.234
O 0.014 0.840 0.348
O 0.905 0.615 0.456
O 0.514 0.660 0.652
O 0.058 0.399 0.882
O 0.763 0.721 0.998
O 0.200 0.524 0.033
O 0.702 0.545 0.171
O 0.800 0.476 0.967
O 0.032 0.693 0.886
O 0.670 0.481 0.435
O 0.744 0.598 0.712
O 0.202 0.955 0.829
O 0.201 0.720 0.463
O 0.532 0.807 0.114
O 0.976 0.137 0.940
O 0.468 0.193 0.886
O 0.746 0.836 0.322
O 0.300 0.024 0.033
O 0.237 0.279 0.002
O 0.244 0.902 0.288
O 0.658 0.825 0.766
O 0.170 0.019 0.565
O 0.405 0.885 0.544
O 0.798 0.045 0.171
O 0.737 0.221 0.998
O 0.330 0.519 0.565
O 0.095 0.385 0.544
O 0.550 0.302 0.613
O 0.486 0.340 0.348
O 0.942 0.601 0.118
O 0.050 0.198 0.387
O 0.701 0.780 0.537
O 0.700 0.976 0.967
O 0.986 0.160 0.652
O 0.558 0.101 0.118
O 0.950 0.802 0.613
O 0.595 0.115 0.456
O 0.830 0.981 0.435
O 0.524 0.637 0.940
O 0.799 0.280 0.537
O 0.254 0.164 0.678
O 0.342 0.175 0.234
O 0.842 0.325 0.766
O 0.754 0.336 0.322
O 0.968 0.307 0.114
O 0.024 0.863 0.060
O 0.756 0.098 0.712
O 0.299 0.220 0.463
O 0.450 0.698 0.387
O 0.298 0.455 0.829
O 0.263 0.779 0.002
Pb 0.494 0.941 0.312
Pb 0.587 0.428 0.833
Pb 0.413 0.572 0.167
Pb 0.006 0.441 0.312
Pb 0.506 0.059 0.688
Pb 0.087 0.072 0.167
Pb 0.913 0.928 0.833
Pb 0.994 0.559 0.688
V 0.414 0.211 0.035
V 0.620 0.281 0.468
V 0.880 0.781 0.468
V 0.586 0.789 0.965
V 0.120 0.219 0.532
V 0.086 0.711 0.035
V 0.380 0.719 0.532
V 0.914 0.289 0.965
P 0.342 0.284 0.332
P 0.701 0.085 0.065
P 0.842 0.216 0.668
P 0.299 0.915 0.935
P 0.201 0.415 0.935
P 0.158 0.784 0.332
P 0.658 0.716 0.668
P 0.799 0.585 0.065

total DFT energy (no corrections): -65.6 eV/f.u.
DFT formation energy: -1.926 eV/atom
E (MP2020): -576.836 eV/cell